Record 1
Here is a relaxed structure of CrH18C5N4O4 from the Materials Project. Energies are from PBE with a Hubbard U.

a = 10.9089 Å, b = 10.9089 Å, c = 10.9089 Å
α = 90.00°, β = 90.00°, γ = 90.00°
Space group P2_13 (No. 198)
Inequivalent atoms, fractional coordinates:
Cr 0.0028 0.0028 0.0028 x4
H 0.9996 0.2297 0.1437 x12
H 0.0010 0.8378 0.2354 x12
H 0.0510 0.2215 0.5815 x12
H 0.0558 0.4041 0.9352 x12
H 0.0603 0.1130 0.7089 x12
H 0.1459 0.6552 0.7323 x12
C 0.0392 0.1263 0.6116 x12
C 0.1370 0.8630 0.3630 x4
C 0.1719 0.6719 0.8281 x4
N 0.0358 0.8090 0.3188 x12
N 0.0924 0.5924 0.9076 x4
O 0.0389 0.3789 0.4184 x12
O 0.0919 0.0919 0.0919 x4



Record 2
Here is a relaxed structure of Cr3H24C8N2O10 from the Materials Project. Energies are from PBE with a Hubbard U.

a = 11.6145 Å, b = 8.6678 Å, c = 21.0195 Å
α = 90.00°, β = 108.37°, γ = 90.00°
Space group P2_1/c (No. 14)
Inequivalent atoms, fractional coordinates:
Cr 0.1019 0.2356 0.0379 x4
Cr 0.1609 0.7381 0.9206 x4
Cr 0.3631 0.2352 0.6597 x4
H 0.0140 0.6374 0.6461 x4
H 0.0202 0.5896 0.1554 x4
H 0.0743 0.6210 0.7363 x4
H 0.0885 0.5920 0.2454 x4
H 0.1268 0.7191 0.0858 x4
H 0.1464 0.5232 0.6834 x4
H 0.1606 0.0093 0.6935 x4
H 0.2202 0.1425 0.8632 x4
H 0.2197 0.1499 0.3543 x4
H 0.2577 0.6650 0.6251 x4
H 0.2642 0.7499 0.2971 x4
H 0.2671 0.6271 0.1309 x4
H 0.2720 0.2295 0.7991 x4
H 0.3353 0.1409 0.4730 x4
H 0.3397 0.6530 0.7458 x4
H 0.3433 0.6399 0.2512 x4
H 0.3468 0.1534 0.9792 x4
H 0.4037 0.0071 0.3878 x4
H 0.4130 0.0059 0.8993 x4
H 0.4471 0.6129 0.5737 x4
H 0.4526 0.6045 0.0814 x4
H 0.4586 0.1174 0.3313 x4
H 0.4657 0.1037 0.8386 x4
H 0.4825 0.2318 0.5025 x4
C 0.0963 0.6264 0.6893 x4
C 0.1057 0.5912 0.1969 x4
C 0.2096 0.7284 0.1286 x4
C 0.2660 0.2423 0.8498 x4
C 0.2893 0.7436 0.2511 x4
C 0.3894 0.2414 0.4685 x4
C 0.4555 0.1093 0.3828 x4
C 0.4615 0.1073 0.8899 x4
N 0.1752 0.7344 0.1918 x4
N 0.3932 0.2503 0.3977 x4
O 0.0323 0.7027 0.9511 x4
O 0.0994 0.2219 0.4628 x4
O 0.1191 0.0538 0.0491 x4
O 0.1470 0.5996 0.3801 x4
O 0.1639 0.5965 0.8699 x4
O 0.2240 0.1710 0.5957 x4
O 0.2840 0.7380 0.9850 x4
O 0.3383 0.1050 0.1938 x4
O 0.4008 0.0986 0.7159 x4
O 0.4682 0.2405 0.1247 x4



Record 3
Here is a relaxed structure of CrP3H16C3NO12 from the Materials Project. Energies are from PBE with a Hubbard U.

a = 9.4196 Å, b = 16.4124 Å, c = 10.0256 Å
α = 90.00°, β = 116.62°, γ = 90.00°
Space group P2_1/c (No. 14)
Inequivalent atoms, fractional coordinates:
Cr 0.0339 0.2091 0.1648 x4
P 0.0401 0.1219 0.8766 x4
P 0.3311 0.7172 0.0065 x4
P 0.4487 0.0358 0.7193 x4
H 0.0905 0.0011 0.2500 x4
H 0.0936 0.5749 0.8780 x4
H 0.0991 0.6568 0.1320 x4
H 0.1821 0.5988 0.2682 x4
H 0.2057 0.2247 0.5095 x4
H 0.2464 0.7013 0.7369 x4
H 0.2637 0.0841 0.8688 x4
H 0.2723 0.5688 0.6051 x4
H 0.2745 0.1111 0.4083 x4
H 0.2838 0.1773 0.6672 x4
H 0.2909 0.0240 0.2018 x4
H 0.3460 0.5496 0.9238 x4
H 0.3524 0.1659 0.3281 x4
H 0.4314 0.5978 0.2306 x4
H 0.4482 0.6750 0.8501 x4
H 0.4740 0.6644 0.5772 x4
C 0.1113 0.5637 0.7786 x4
C 0.3273 0.6693 0.8390 x4
C 0.3339 0.5390 0.7140 x4
N 0.2844 0.5803 0.8210 x4
O 0.9997 0.1193 0.0069 x4
O 0.0610 0.2059 0.8258 x4
O 0.0804 0.6251 0.2061 x4
O 0.1635 0.7210 0.9939 x4
O 0.1925 0.0670 0.9136 x4
O 0.2177 0.2241 0.6115 x4
O 0.2495 0.1520 0.3283 x4
O 0.3712 0.0367 0.5498 x4
O 0.3903 0.6952 0.4891 x4
O 0.4006 0.1048 0.7946 x4
O 0.4196 0.5469 0.2843 x4
O 0.4509 0.6715 0.1420 x4



| no. | energy (eV per atom) | E_form (eV per atom) |
| --- | --- | --- |
| 1 | -5.656 | -0.49 |
| 2 | -5.645 | -0.59 |
| 3 | -5.881 | -1.29 |